DFT (PBE) results for crystalline CsTiH24S2O20 at its relaxed geometry.

```
192
Lattice="-10.8939 -1.7927 5.7816 4.6388 -10.1384 5.5969 3.8854 7.0212 9.4982" Properties=species:S:1:pos:R:3 pbc="T T T"
H -6.8875 -4.4838 10.8466
H -0.9967 -4.8062 4.3214
H -2.5070 0.8872 9.5734
H -5.3951 1.7381 9.4168
H -4.0950 -3.3987 5.2523
H -5.2548 -1.4817 14.8578
H 4.5178 -0.4262 10.0301
H 2.1124 -9.7455 6.7007
H -1.9985 -0.3403 4.6350
H 0.1088 -5.0506 12.7793
H -1.2213 -1.6997 17.8962
H 1.7253 -1.5113 15.6243
H -5.6179 -5.5315 6.7428
H -5.1560 -4.9996 15.0087
H -3.2393 -7.1023 12.6398
H 1.1769 -5.8742 15.4738
H -3.9716 -3.4786 12.6907
H 1.8247 5.8382 10.8600
H -0.2782 -5.9168 17.0117
H -0.8056 2.5326 6.9572
H 1.6019 -1.4314 8.1860
H 1.2576 -3.2490 14.5416
H -2.8663 -5.8609 13.5062
H -9.4139 -3.4456 7.3494
H 2.0680 -0.3274 11.2886
H 0.8696 2.1923 8.2368
H 7.0443 -1.4644 13.5272
H -4.1944 -10.7482 10.0167
H 1.2552 -7.9271 7.4206
H -5.4450 -7.5668 10.8197
H -3.4338 -5.6326 10.1413
H 4.8354 -4.1077 12.7632
H -1.5641 -7.4426 13.9195
H 3.0753 2.6568 10.0570
H 2.7365 -2.8499 14.2661
H 3.2483 0.6215 14.1338
H -7.2051 -0.8023 8.1134
H -4.1425 0.2606 14.2138
H 0.1374 -5.7972 11.3032
H 1.7728 -5.1706 6.6629
H -2.0914 1.0068 3.8650
H -7.0496 3.6271 13.0561
H -3.2215 -4.6698 15.9076
H 4.6799 -8.5370 7.8205
H -5.1062 -2.0601 6.6105
H 5.0180 -5.2928 13.7524
H 3.0255 -6.6481 11.4599
H 4.1802 2.6829 8.9611
H -1.1484 -3.2103 2.9805
H -4.6732 -2.5033 11.5402
H -0.1477 2.8029 13.3148
H -4.4821 4.8355 14.1760
H -7.0831 -0.7832 12.5668
H -4.4023 -4.5301 16.9119
H -2.4785 0.1406 8.0974
H -4.4376 -4.5826 9.5881
H -0.4174 -2.7514 4.2789
H -4.7183 -0.7148 10.4597
H -3.0733 3.4464 14.8497
H -4.9118 -1.9266 9.4981
H -3.6248 3.0171 13.4561
H 0.8586 -3.9587 6.3287
H -0.3712 -4.5697 16.2416
H -0.6211 -0.7660 13.6738
H -2.2220 -7.7129 7.5619
H -1.4796 1.4018 11.3314
H 0.5131 -5.7469 9.1783
H 2.3487 -4.1952 10.4169
H -2.8827 0.8369 11.6984
H 4.7134 -4.1268 8.3099
H 2.3035 -2.4067 9.3365
H 2.8851 -3.4283 6.0188
H -1.9106 3.9668 9.4124
H -1.7485 -4.1440 7.2028
H -6.5499 -7.5929 11.9156
H -0.8900 -6.3117 9.5452
H 0.7036 -8.3564 6.0270
H 0.8518 -0.2402 4.9691
H -1.9523 -2.1585 16.5978
H 1.0641 0.7226 10.7354
H -6.7440 -9.2856 10.6876
H -3.6273 -1.6610 6.3351
H -3.5466 0.9642 5.4029
H 0.4764 -0.0717 12.6619
H -2.8460 -4.8383 8.2148
H -1.3730 -0.1037 16.5553
H 0.4967 0.9510 7.3704
H -7.3876 0.3828 7.1243
H 6.9081 -4.4642 13.2778
H -3.2282 -0.9513 14.5479
H 2.7863 0.0897 5.8680
H 4.3743 4.3756 10.1891
H 2.0326 -0.3799 3.9648
H 2.5422 -2.9834 11.3786
H -9.2778 -0.4458 7.5988
H -0.4590 -8.8768 11.4643
O 4.0385 2.8366 9.9286
O -4.0136 -0.4555 14.8849
O 0.6144 1.9341 7.3176
O 2.0784 -2.9368 14.9982
O -7.2584 -4.5378 11.7724
O -3.8249 -4.2668 4.7936
O -2.9841 -6.8441 13.5591
O 4.8887 -0.3722 9.1042
O -0.4913 2.8583 11.6911
O -3.3003 3.8066 13.9541
O -6.0222 2.9075 11.9662
O -6.7019 -4.3235 6.9437
O 1.9963 -3.2894 10.6136
O -3.7627 -9.2907 9.4132
O -1.9183 -1.4169 17.2501
O -1.7620 -3.6180 15.4967
O -4.3660 -1.6206 10.2631
O -4.4481 -1.9732 5.8784
O 5.8950 -1.5417 12.3311
O 0.6510 1.1331 1.5861
O -6.2232 3.5441 16.1287
O -2.5771 -4.1254 13.2488
O 1.2466 2.4118 10.0224
O -2.1098 0.6729 11.1048
O 0.2074 -0.7846 7.6278
O -4.8335 -3.0773 12.3700
O 1.7678 -6.3367 14.7899
O 1.7002 0.1906 4.7022
O -8.2646 -3.3683 8.5455
O -6.2154 -4.4267 9.3279
O -1.7866 -0.2994 0.9731
O -0.2178 -3.6412 13.5944
O -7.3649 -1.7172 12.3461
O -5.3009 2.2967 8.5886
O 0.2852 -5.1989 16.6329
O 3.8535 -8.4541 4.7480
O -2.0600 -9.1938 11.1519
O 3.7360 -2.6294 12.7306
O -2.6549 0.2890 4.2438
O -6.1056 -2.2806 8.1461
O 1.8817 -6.3333 8.0882
O -0.3096 4.2838 9.7247
O 3.6525 -7.8175 8.9105
O 0.1003 -0.0786 13.6049
O -5.5163 0.8418 10.7794
O -3.4698 -4.7487 9.6972
O 1.6439 -4.4545 5.9917
O -0.5029 -3.0504 7.0864
O 2.4639 -1.8327 8.5067
O -2.1519 -1.2688 7.2823
O -4.2513 1.4233 12.7885
O 0.3135 -5.9045 12.3004
O 4.9952 -3.1928 8.5306
O -1.8668 -1.8596 13.7903
O -4.1375 1.4267 6.0867
O -6.6040 0.7588 12.9543
O 4.3322 -0.5865 13.9329
O -0.2599 -5.5829 9.7718
O -0.6077 -1.2920 5.3800
O 1.3930 4.3808 11.4635
O -7.7686 -0.0052 7.9493
O -1.8784 -7.7683 9.1856
O -3.6163 -7.3218 10.8543
O -6.4082 -7.7466 10.9481
O -2.4699 -4.8314 7.2718
O 4.2343 -5.6688 7.9224
O 2.9312 -7.2067 12.2881
O -3.0206 -6.0431 19.2905
O -4.0699 -5.1006 16.1745
O 1.4552 -0.6432 16.0830
O 3.1466 -5.7518 10.0973
O 3.8458 -0.4833 11.5488
O 5.3989 -4.9048 12.9274
O -1.0504 0.7635 16.1222
O -2.6832 0.9946 8.5763
O -1.3193 -5.6734 4.7545
O 0.9306 -8.7166 6.9225
O -0.4513 -3.4931 3.6266
O 1.1001 -0.1613 11.1795
O -0.5830 -4.6106 19.9035
Ti -3.1276 -5.9656 5.6892
Ti 0.0000 0.0000 0.0000
Ti -3.5042 2.6142 7.6399
Ti 4.2621 -1.5586 7.5475
S -0.7634 -1.5961 6.8386
S 0.4635 3.4789 10.7241
S -5.5931 1.4809 12.1246
S 3.2234 -6.3909 8.7521
S -1.6062 -3.3139 14.0380
S 4.4504 -1.3159 12.6376
S -6.8200 -3.5941 8.2391
S -2.8332 -8.3889 10.1525
Cs -1.1848 -2.4550 10.4383
Cs 2.3194 -5.0692 2.7984
Cs 1.9427 3.5106 4.7491
Cs -5.4469 -0.8964 2.8908
```

Properties
As for the space-group type: Pbca, No. 61. Its total energy is -5.35 eV per atom.